i:
## Li3V2Cr2O8 (PBE+U)

Data for crystalline Li3V2Cr2O8 at its relaxed geometry.

Cell: 5.8725 5.9501 5.9604 Å, 90.91 119.48 119.14°
Closest atoms and distances in Å follow each position.
Fractional coordinates of all 15 atoms:
Li: 0.0000 0.0000 0.0000  6 O 2.19-2.27
Li: 0.0000 0.5000 0.0000  6 O 2.15-2.21
Li: 0.5000 0.0000 0.5000  6 O 2.11-2.19
V: 0.0000 0.5000 0.5000  6 O 1.95-2.02
V: 0.5000 0.5000 0.0000  6 O 2.01-2.10
Cr: 0.0000 0.0000 0.5000  6 O 2.03-2.04
Cr: 0.5000 0.5000 0.5000  6 O 2.00-2.02
O: 0.0015 0.2558 0.7326  2 V 2.02-2.10, 1 Cr 2.04, 3 Li 2.11-2.22
O: 0.0229 0.2626 0.2820  1 V 2.00, 2 Cr 2.01-2.04, 2 Li 2.19-2.21
O: 0.4625 0.7154 0.7298  2 V 1.95-2.07, 1 Cr 2.02
O: 0.4814 0.2666 0.7362  2 Cr 2.00-2.03, 1 V 2.01, 2 Li 2.18-2.19
O: 0.5186 0.7334 0.2638  2 Cr 2.00-2.03, 1 V 2.01, 2 Li 2.18-2.19
O: 0.5375 0.2846 0.2702  2 V 1.95-2.07, 1 Cr 2.02
O: 0.9771 0.7374 0.7180  1 V 2.00, 2 Cr 2.01-2.04, 2 Li 2.19-2.21
O: 0.9985 0.7442 0.2674  2 V 2.02-2.10, 1 Cr 2.04, 3 Li 2.11-2.22

ii:
## Li3V2Cr2O8 (PBE+U)

Data for crystalline Li3V2Cr2O8 at its relaxed geometry.

Cell: 5.8381 5.8482 5.8724 Å, 89.84 60.43 60.36°
Closest atoms and distances in Å follow each position.
Fractional coordinates of all 15 atoms:
Li: 0.0000 0.0000 0.0000  6 O 2.13-2.18
Li: 0.0000 0.0000 0.5000  6 O 2.13-2.18
Li: 0.5000 0.0000 0.0000  6 O 2.16
V: 0.0000 0.5000 0.5000  6 O 2.00-2.02
V: 0.5000 0.5000 0.5000  6 O 1.99-2.02
Cr: 0.0000 0.5000 0.0000  6 O 2.01-2.02
Cr: 0.5000 0.0000 0.5000  6 O 1.97-1.99
O: 0.0162 0.7282 0.7418  1 Cr 2.02, 2 V 2.02, 3 Li 2.13-2.16
O: 0.0288 0.2524 0.7335  2 Cr 1.97-2.02, 1 V 2.00, 2 Li 2.14-2.15
O: 0.4788 0.2591 0.7388  2 Cr 1.98-2.01, 1 V 1.99, 2 Li 2.16-2.18
O: 0.4800 0.2594 0.2801  1 Cr 1.99, 2 V 2.00-2.01, 2 Li 2.16-2.18
O: 0.5200 0.7406 0.7199  1 Cr 1.99, 2 V 2.00-2.01, 2 Li 2.16-2.18
O: 0.5212 0.7409 0.2612  2 Cr 1.98-2.01, 1 V 1.99, 2 Li 2.16-2.18
O: 0.9712 0.7476 0.2665  2 Cr 1.97-2.02, 1 V 2.00, 2 Li 2.14-2.15
O: 0.9838 0.2718 0.2582  1 Cr 2.02, 2 V 2.02, 3 Li 2.13-2.16

Consider the structures shown above. The least stable of them is ii.